# GdHg3

A relaxed GdHg3 crystal (r2SCAN, the Materials Project).

Output
Calculated total energy, eV/atom: -48.274

Cell and atoms, written as POSCAR:
```
GdHg3
1.0
6.664 0.000 0.000
-3.332 5.771 0.000
0.000 0.000 4.989
Gd Hg
2 6
direct
0.333 0.667 0.250
0.667 0.333 0.750
0.164 0.328 0.750
0.164 0.836 0.750
0.328 0.164 0.250
0.672 0.836 0.750
0.836 0.164 0.250
0.836 0.672 0.250
```

***

# EuP3O9

A relaxed EuP3O9 crystal (r2SCAN, the Materials Project).

Output
Calculated total energy, eV/atom: -11.763

Cell and atoms, written as POSCAR:
```
EuP3O9
1.0
4.262 -5.546 0.000
4.262 5.546 0.000
0.000 0.000 7.248
Eu P O
2 6 18
direct
0.125 0.125 0.000
0.875 0.875 0.500
0.250 0.250 0.500
0.315 0.666 0.045
0.334 0.685 0.455
0.666 0.315 0.955
0.685 0.334 0.545
0.750 0.750 0.000
0.133 0.174 0.330
0.174 0.133 0.670
0.174 0.786 0.462
0.214 0.826 0.038
0.218 0.472 0.962
0.252 0.471 0.545
0.375 0.625 0.250
0.471 0.252 0.455
0.472 0.218 0.038
0.528 0.782 0.538
0.529 0.748 0.955
0.625 0.375 0.750
0.748 0.529 0.045
0.782 0.528 0.462
0.786 0.174 0.538
0.826 0.214 0.962
0.826 0.867 0.170
0.867 0.826 0.830
```

***

# K2CeBr5

A relaxed K2CeBr5 crystal (r2SCAN, the Materials Project).

Output
Calculated total energy, eV/atom: -15.789

Cell and atoms, written as POSCAR:
```
K2CeBr5
1.0
13.386 0.000 0.000
0.000 9.253 0.000
0.000 0.000 8.474
K Ce Br
8 4 20
direct
0.172 0.004 0.053
0.172 0.496 0.053
0.328 0.504 0.553
0.328 0.996 0.553
0.672 0.004 0.447
0.672 0.496 0.447
0.828 0.504 0.947
0.828 0.996 0.947
0.007 0.250 0.579
0.493 0.750 0.079
0.507 0.250 0.921
0.993 0.750 0.421
0.007 0.250 0.933
0.079 0.545 0.668
0.079 0.955 0.668
0.183 0.250 0.370
0.208 0.750 0.333
0.292 0.250 0.833
0.317 0.750 0.870
0.421 0.045 0.168
0.421 0.455 0.168
0.493 0.750 0.433
0.507 0.250 0.567
0.579 0.545 0.832
0.579 0.955 0.832
0.683 0.250 0.130
0.708 0.750 0.167
0.792 0.250 0.667
0.817 0.750 0.630
0.921 0.045 0.332
0.921 0.455 0.332
0.993 0.750 0.067
```

***

# MnSb2O4

A relaxed MnSb2O4 crystal (r2SCAN, the Materials Project).

Output
Calculated total energy, eV/atom: -14.484

Cell and atoms, written as POSCAR:
```
MnSb2O4
1.0
8.684 0.000 0.000
0.000 8.684 0.000
0.000 0.000 6.012
Mn Sb O
4 8 16
direct
0.000 0.500 0.250
0.000 0.500 0.750
0.500 0.000 0.250
0.500 0.000 0.750
0.167 0.179 0.000
0.179 0.833 0.500
0.321 0.333 0.500
0.333 0.679 0.000
0.667 0.321 0.000
0.679 0.667 0.500
0.821 0.167 0.500
0.833 0.821 0.000
0.098 0.355 0.500
0.145 0.402 0.000
0.179 0.679 0.250
0.179 0.679 0.750
0.321 0.179 0.250
0.321 0.179 0.750
0.355 0.902 0.000
0.402 0.855 0.500
0.598 0.145 0.500
0.645 0.098 0.000
0.679 0.821 0.250
0.679 0.821 0.750
0.821 0.321 0.250
0.821 0.321 0.750
0.855 0.598 0.000
0.902 0.645 0.500
```

***

# Sr2Mg

A relaxed Sr2Mg crystal (r2SCAN, the Materials Project).

Output
Calculated total energy, eV/atom: -11.483

Cell and atoms, written as POSCAR:
```
Sr2Mg
1.0
-5.786 -13.581 -1.049
1.699 -0.286 -5.676
5.184 -2.337 1.669
Mg Sr
4 8
direct
0.000 0.741 0.750
0.500 0.241 0.750
0.000 0.259 0.250
0.500 0.759 0.250
0.859 0.753 0.250
0.641 0.253 0.250
0.859 0.247 0.750
0.359 0.253 0.250
0.641 0.747 0.750
0.359 0.747 0.750
0.141 0.247 0.750
0.141 0.753 0.250
```

***

# CeO2

A relaxed CeO2 crystal (r2SCAN, the Materials Project).

Output
Calculated total energy, eV/atom: -18.014

Cell and atoms, written as POSCAR:
```
CeO2
1.0
5.467 0.000 0.000
0.000 5.467 0.000
0.000 0.000 5.467
Ce O
4 8
direct
0.000 0.000 0.000
0.000 0.500 0.500
0.500 0.000 0.500
0.500 0.500 0.000
0.250 0.250 0.250
0.250 0.250 0.750
0.250 0.750 0.250
0.250 0.750 0.750
0.750 0.250 0.250
0.750 0.250 0.750
0.750 0.750 0.250
0.750 0.750 0.750
```

***

# AcCdAu2

A relaxed AcCdAu2 crystal (r2SCAN, the Materials Project).

Output
Calculated total energy, eV/atom: -48.143

Cell and atoms, written as POSCAR:
```
AcCdAu2
1.0
7.359 0.000 0.000
0.000 7.359 0.000
0.000 0.000 7.359
Ac Cd Au
4 4 8
direct
0.000 0.000 0.000
0.000 0.500 0.500
0.500 0.000 0.500
0.500 0.500 0.000
0.000 0.000 0.500
0.000 0.500 0.000
0.500 0.000 0.000
0.500 0.500 0.500
0.250 0.250 0.250
0.250 0.250 0.750
0.250 0.750 0.250
0.250 0.750 0.750
0.750 0.250 0.250
0.750 0.250 0.750
0.750 0.750 0.250
0.750 0.750 0.750
```

***

# YHoMg2

A relaxed YHoMg2 crystal (r2SCAN, the Materials Project).

Output
Calculated total energy, eV/atom: -15.479

Cell and atoms, written as POSCAR:
```
YHoMg2
1.0
7.588 0.000 0.000
0.000 7.588 0.000
0.000 0.000 7.588
Y Ho Mg
4 4 8
direct
0.000 0.000 0.000
0.000 0.500 0.500
0.500 0.000 0.500
0.500 0.500 0.000
0.000 0.000 0.500
0.000 0.500 0.000
0.500 0.000 0.000
0.500 0.500 0.500
0.250 0.250 0.250
0.250 0.250 0.750
0.250 0.750 0.250
0.250 0.750 0.750
0.750 0.250 0.250
0.750 0.250 0.750
0.750 0.750 0.250
0.750 0.750 0.750
```

***

Q: Which value of calculated total energy does entry 5 give?
A: -11.483 eV/atom

***

Repeat the second record exactly.
# EuP3O9

A relaxed EuP3O9 crystal (r2SCAN, the Materials Project).

Output
Calculated total energy, eV/atom: -11.763

Cell and atoms, written as POSCAR:
```
EuP3O9
1.0
4.262 -5.546 0.000
4.262 5.546 0.000
0.000 0.000 7.248
Eu P O
2 6 18
direct
0.125 0.125 0.000
0.875 0.875 0.500
0.250 0.250 0.500
0.315 0.666 0.045
0.334 0.685 0.455
0.666 0.315 0.955
0.685 0.334 0.545
0.750 0.750 0.000
0.133 0.174 0.330
0.174 0.133 0.670
0.174 0.786 0.462
0.214 0.826 0.038
0.218 0.472 0.962
0.252 0.471 0.545
0.375 0.625 0.250
0.471 0.252 0.455
0.472 0.218 0.038
0.528 0.782 0.538
0.529 0.748 0.955
0.625 0.375 0.750
0.748 0.529 0.045
0.782 0.528 0.462
0.786 0.174 0.538
0.826 0.214 0.962
0.826 0.867 0.170
0.867 0.826 0.830
```